A plane-wave DFT calculation with PBE-GGA was carried out for crystalline Si3P3Rh at its relaxed geometry.

a = 4.9210 Å, b = 4.9393 Å, c = 5.5370 Å
α = 108.81°, β = 108.13°, γ = 95.06°
With the nearest neighbours (Å) after each atom.
Space group P1 (No. 1)
Symmetry-distinct sites (fractional):
Si 0.0000 0.0000 0.0000 [1 per cell]  1 P 2.30, 2 Si 2.35, 1 Rh 2.46
Si 0.1283 0.5578 0.7963 [1 per cell]  2 P 2.27-2.29, 1 Si 2.35, 1 Rh 2.37
Si 0.8184 0.8100 0.2717 [1 per cell]  2 P 2.29-2.32, 1 Si 2.35, 1 Rh 2.44
P 0.2538 0.6910 0.4800 [1 per cell]  1 P 2.24, 2 Si 2.29-2.32, 1 Rh 2.39
P 0.5656 0.1059 0.7841 [1 per cell]  2 P 2.22-2.24, 1 Si 2.30, 1 Rh 2.39
P 0.7083 0.2406 0.4895 [1 per cell]  1 P 2.22, 2 Si 2.27-2.29, 1 Rh 2.44
Rh 0.4166 0.4007 0.1366 [1 per cell]  3 Si 2.37-2.46, 3 P 2.39-2.44

Computed properties:
Volume ... 16.91 Å³/atom
ρ ... 3.93 g/cm3
Crystal system ... triclinic
Energy of formation from the pure elements ... -0.3350 eV/atom

A plane-wave DFT calculation with PBE-GGA was carried out for crystalline TmCoC at its relaxed geometry.

a = 3.4611 Å, b = 3.4944 Å, c = 3.6021 Å
α = 90.00°, β = 90.00°, γ = 90.00°
With the nearest neighbours (Å) after each atom.
Space group Pmmm (No. 47)
Symmetry-distinct sites (fractional):
Tm 0.0000 0.0000 0.0000 [1 per cell]  4 C 2.46
Co 0.5000 0.5000 0.5000 [1 per cell]  2 C 1.80
C 0.5000 0.5000 0.0000 [1 per cell]  2 Co 1.80

Computed properties:
Volume ... 14.52 Å³/atom
ρ ... 9.14 g/cm3
Crystal system ... orthorhombic
Energy of formation from the pure elements ... -0.2944 eV/atom
Excess energy over the best structure of this formula in the dataset ... 0.058 eV/atom

A plane-wave DFT calculation with PBE-GGA was carried out for crystalline Ce3AlN at its relaxed geometry.

a = 4.8680 Å, b = 4.8680 Å, c = 4.8680 Å
α = 90.00°, β = 90.00°, γ = 90.00°
With the nearest neighbours (Å) after each atom.
Space group Pm-3m (No. 221)
Symmetry-distinct sites (fractional):
Ce 0.0000 0.0000 0.5000 [3 per cell]  2 N 2.43
Al 0.5000 0.5000 0.5000 [1 per cell]  12 Ce 3.44
N 0.0000 0.0000 0.0000 [1 per cell]  6 Ce 2.43

Computed properties:
Volume ... 23.07 Å³/atom
ρ ... 6.64 g/cm3
MP2020-corrected energy ... -34.0 eV/cell
Crystal system ... cubic
Energy of formation from the pure elements ... -0.8285 eV/atom

A plane-wave DFT calculation with PBE-GGA was carried out for crystalline TiNbN2 at its relaxed geometry.

a = 4.3666 Å, b = 4.3666 Å, c = 8.6981 Å
α = 90.00°, β = 90.00°, γ = 90.00°
With the nearest neighbours (Å) after each atom.
Space group I4_1/amd (No. 141, origin choice 2)
Symmetry-distinct sites (fractional):
Ti 0.0000 0.2500 0.3750 [4 per cell]  6 N 2.11-2.18
Nb 0.0000 0.2500 0.8750 [4 per cell]  6 N 2.18-2.24
N 0.0000 0.2500 0.1321 [8 per cell]  3 Ti 2.11-2.18, 3 Nb 2.18-2.24

Computed properties:
Volume ... 10.37 Å³/atom
ρ ... 6.76 g/cm3
MP2020-corrected energy ... -162.3 eV/cell
Crystal system ... tetragonal
Energy of formation from the pure elements ... -1.4784 eV/atom

A plane-wave DFT calculation with PBE-GGA was carried out for crystalline Li3Cu4SnO8 at its relaxed geometry.

a = 11.0590 Å, b = 5.8157 Å, c = 5.8270 Å
α = 90.00°, β = 121.15°, γ = 90.00°
With the nearest neighbours (Å) after each atom.
Space group C2/m (No. 12)
Symmetry-distinct sites (fractional):
Li 0.0000 0.0000 0.0000 [2 per cell]  4 O 2.08
Li 0.2500 0.2500 0.5000 [4 per cell]  6 O 2.13-2.25
Cu 0.0000 0.0000 0.5000 [2 per cell]  2 O 1.95
Cu 0.0000 0.5000 0.0000 [2 per cell]  4 O 1.94
Cu 0.2500 0.2500 0.0000 [4 per cell]  4 O 1.95-1.96
Sn 0.0000 0.5000 0.5000 [2 per cell]  6 O 2.07-2.15
O 0.0251 0.2663 0.2594 [8 per cell]  1 Cu 1.94, 1 Sn 2.07, 2 Li 2.08-2.13
O 0.2044 0.0000 0.7415 [4 per cell]  3 Cu 1.95-1.96
O 0.2258 0.5000 0.7562 [4 per cell]  2 Cu 1.95, 1 Sn 2.15

Computed properties:
Volume ... 10.02 Å³/atom
ρ ... 5.40 g/cm3
MP2020-corrected energy ... -179.5 eV/cell
Crystal system ... monoclinic
Energy of formation from the pure elements ... -1.5018 eV/atom

A plane-wave DFT calculation with PBE-GGA was carried out for crystalline Tm2Al3Si2 at its relaxed geometry.

a = 10.0888 Å, b = 4.0010 Å, c = 6.5789 Å
α = 90.00°, β = 100.75°, γ = 90.00°
With the nearest neighbours (Å) after each atom.
Space group C2/m (No. 12)
Symmetry-distinct sites (fractional):
Tm 0.1193 0.0000 0.3229 [4 per cell]  5 Si 2.86-2.98, 5 Al 3.00-3.18
Al 0.0000 0.5000 0.0000 [2 per cell]  2 Si 2.71, 4 Tm 3.00, 2 Al 3.04
Al 0.1949 0.0000 0.8669 [4 per cell]  2 Si 2.59, 2 Al 2.75
Si 0.0939 0.5000 0.6392 [4 per cell]  1 Si 2.38, 2 Al 2.59

Computed properties:
Volume ... 18.64 Å³/atom
ρ ... 6.05 g/cm3
MP2020-corrected energy ... -69.2 eV/cell
Crystal system ... monoclinic
Energy of formation from the pure elements ... -0.5082 eV/atom

Q: The highest ρ belongs to which entry?
A: TmCoC